(1)
# Pr2CBr r2SCAN optimized geometry
data_Pr2CBr
_chemical_formula_sum 'Pr4 C2 Br2'
_cell_length_a 3.8457
_cell_length_b 3.8457
_cell_length_c 14.9700
_cell_angle_alpha 90.00
_cell_angle_beta 90.00
_cell_angle_gamma 120.00
_space_group_name_H-M_alt 'P 63/m m c'
_space_group_IT_number 194
_space_group_name_Hall '-P 6c 2c'
loop_
_atom_site_label
_atom_site_type_symbol
_atom_site_fract_x
_atom_site_fract_y
_atom_site_fract_z
Pr1 Pr 0.3333 0.6667 0.0926
C1 C 0.0000 0.0000 0.0000
Br1 Br 0.3333 0.6667 0.7500
# Uncorrected energy (eV per atom): -21.581

=====

(2)
# K3Sb r2SCAN optimized geometry
data_K3Sb
_chemical_formula_sum 'K6 Sb2'
_cell_length_a 6.0735
_cell_length_b 6.0735
_cell_length_c 10.7776
_cell_angle_alpha 90.00
_cell_angle_beta 90.00
_cell_angle_gamma 120.00
_space_group_name_H-M_alt 'P 63/m m c'
_space_group_IT_number 194
_space_group_name_Hall '-P 6c 2c'
loop_
_atom_site_label
_atom_site_type_symbol
_atom_site_fract_x
_atom_site_fract_y
_atom_site_fract_z
K1 K 0.0000 0.0000 0.2500
K2 K 0.3333 0.6667 0.0822
Sb1 Sb 0.3333 0.6667 0.7500
# Energy above the most stable polymorph in this dataset (eV/atom): 0.000

=====

(3)
# P3Pb4O12 r2SCAN optimized geometry
data_P3Pb4O12
_chemical_formula_sum 'P12 Pb16 O48'
_cell_length_a 10.428
_cell_length_b 10.428
_cell_length_c 10.428
_cell_angle_alpha 90.00
_cell_angle_beta 90.00
_cell_angle_gamma 90.00
_space_group_name_H-M_alt 'I -4 3 d'
_space_group_IT_number 220
_space_group_name_Hall 'I -4bd 2c 3'
loop_
_atom_site_label
_atom_site_type_symbol
_atom_site_fract_x
_atom_site_fract_y
_atom_site_fract_z
P1 P 0.000 0.250 0.375
Pb1 Pb 0.074 0.074 0.074
O1 O 0.041 0.112 0.703
# Uncorrected energy (eV per atom): -19.078

=====

(4)
# LiMg2 r2SCAN optimized geometry
data_LiMg2
_chemical_formula_sum 'Li4 Mg8'
_cell_length_a 10.735
_cell_length_b 3.433
_cell_length_c 7.141
_cell_angle_alpha 90.00
_cell_angle_beta 109.29
_cell_angle_gamma 90.00
_space_group_name_H-M_alt 'C 1 2/m 1'
_space_group_IT_number 12
loop_
_space_group_symop_operation_xyz
'x,y,z'
'-x,-y,-z'
'-x,y,-z'
'x,-y,z'
'x+1/2,y+1/2,z'
'-x+1/2,-y+1/2,-z'
'-x+1/2,y+1/2,-z'
'x+1/2,-y+1/2,z'
loop_
_atom_site_label
_atom_site_type_symbol
_atom_site_fract_x
_atom_site_fract_y
_atom_site_fract_z
Li1 Li 0.170 0.000 0.067
Mg1 Mg 0.012 0.500 0.236
Mg2 Mg 0.169 0.000 0.602
# Uncorrected energy (eV per atom): -3.620

=====

(5)
# UAs r2SCAN optimized geometry
data_UAs
_chemical_formula_sum 'U4 As4'
_cell_length_a 5.926
_cell_length_b 5.926
_cell_length_c 5.926
_cell_angle_alpha 90.00
_cell_angle_beta 90.00
_cell_angle_gamma 90.00
_space_group_name_H-M_alt 'F m -3 m'
_space_group_IT_number 225
_space_group_name_Hall '-F 4 2 3'
loop_
_atom_site_label
_atom_site_type_symbol
_atom_site_fract_x
_atom_site_fract_y
_atom_site_fract_z
U1 U 0.000 0.000 0.000
As1 As 0.000 0.000 0.500
# Uncorrected energy (eV per atom): -48.470

=====

(6)
# TbB6 r2SCAN optimized geometry
data_TbB6
_chemical_formula_sum 'Tb1 B6'
_cell_length_a 4.090
_cell_length_b 4.090
_cell_length_c 4.090
_cell_angle_alpha 90.00
_cell_angle_beta 90.00
_cell_angle_gamma 90.00
_space_group_name_H-M_alt 'P m -3 m'
_space_group_IT_number 221
_space_group_name_Hall '-P 4 2 3'
loop_
_atom_site_label
_atom_site_type_symbol
_atom_site_fract_x
_atom_site_fract_y
_atom_site_fract_z
Tb1 Tb 0.000 0.000 0.000
B1 B 0.199 0.500 0.500
# Uncorrected energy (eV per atom): -11.233

=====

(7)
# Nd4S3Br6 r2SCAN optimized geometry
data_Nd4S3Br6
_chemical_formula_sum 'Nd16 S12 Br24'
_cell_length_a 29.635
_cell_length_b 6.892
_cell_length_c 7.194
_cell_angle_alpha 90.00
_cell_angle_beta 94.72
_cell_angle_gamma 90.00
_space_group_name_H-M_alt 'C 1 2/c 1'
_space_group_IT_number 15
loop_
_space_group_symop_operation_xyz
'x,y,z'
'-x,-y,-z'
'-x,y,-z+1/2'
'x,-y,z+1/2'
'x+1/2,y+1/2,z'
'-x+1/2,-y+1/2,-z'
'-x+1/2,y+1/2,-z+1/2'
'x+1/2,-y+1/2,z+1/2'
loop_
_atom_site_label
_atom_site_type_symbol
_atom_site_fract_x
_atom_site_fract_y
_atom_site_fract_z
Nd1 Nd 0.057 0.191 0.484
Nd2 Nd 0.171 0.194 0.094
S1 S 0.000 0.052 0.750
S2 S 0.117 0.052 0.791
Br1 Br 0.052 0.392 0.109
Br2 Br 0.156 0.406 0.446
Br3 Br 0.235 0.083 0.815
# Uncorrected energy (eV per atom): -19.292

=====

(8)
# Nd2TeO2 r2SCAN optimized geometry
data_Nd2TeO2
_chemical_formula_sum 'Nd4 Te2 O4'
_cell_length_a 4.060
_cell_length_b 4.060
_cell_length_c 12.923
_cell_angle_alpha 90.00
_cell_angle_beta 90.00
_cell_angle_gamma 90.00
_space_group_name_H-M_alt 'I 4/m m m'
_space_group_IT_number 139
_space_group_name_Hall '-I 4 2'
loop_
_atom_site_label
_atom_site_type_symbol
_atom_site_fract_x
_atom_site_fract_y
_atom_site_fract_z
Nd1 Nd 0.000 0.000 0.160
Te1 Te 0.000 0.000 0.500
O1 O 0.000 0.500 0.250
# Uncorrected energy (eV per atom): -22.443

=====

(9)
# Sn3Ru2 r2SCAN optimized geometry
data_Sn3Ru2
_chemical_formula_sum 'Sn12 Ru8'
_cell_length_a 6.204
_cell_length_b 6.204
_cell_length_c 9.978
_cell_angle_alpha 90.00
_cell_angle_beta 90.00
_cell_angle_gamma 90.00
_space_group_name_H-M_alt 'P -4 c 2'
_space_group_IT_number 116
loop_
_space_group_symop_operation_xyz
'x,y,z'
'y,-x,-z'
'-x,-y,z'
'-y,x,-z'
'-x,y,z+1/2'
'-y,-x,-z+1/2'
'x,-y,z+1/2'
'y,x,-z+1/2'
loop_
_atom_site_label
_atom_site_type_symbol
_atom_site_fract_x
_atom_site_fract_y
_atom_site_fract_z
Sn1 Sn 0.158 0.278 0.416
Sn2 Sn 0.321 0.321 0.750
Ru1 Ru 0.000 0.000 0.250
Ru2 Ru 0.000 0.500 0.124
Ru3 Ru 0.500 0.500 0.000
# Uncorrected energy (eV per atom): -25.167

=====

(10)
# U2F9 r2SCAN optimized geometry
data_U2F9
_chemical_formula_sum 'U8 F36'
_cell_length_a 8.438
_cell_length_b 8.438
_cell_length_c 8.441
_cell_angle_alpha 90.00
_cell_angle_beta 90.00
_cell_angle_gamma 90.00
_space_group_name_H-M_alt 'I -4'
_space_group_IT_number 82
loop_
_space_group_symop_operation_xyz
'x,y,z'
'y,-x,-z'
'-x,-y,z'
'-y,x,-z'
'x+1/2,y+1/2,z+1/2'
'y+1/2,-x+1/2,-z+1/2'
'-x+1/2,-y+1/2,z+1/2'
'-y+1/2,x+1/2,-z+1/2'
loop_
_atom_site_label
_atom_site_type_symbol
_atom_site_fract_x
_atom_site_fract_y
_atom_site_fract_z
U1 U 0.187 0.188 0.188
F1 F 0.000 0.000 0.227
F2 F 0.001 0.226 0.999
F3 F 0.057 0.707 0.291
F4 F 0.058 0.292 0.706
F5 F 0.207 0.207 0.443
# Uncorrected energy (eV per atom): -21.007

=====

(11)
# YbCu4Ag r2SCAN optimized geometry
data_YbCu4Ag
_chemical_formula_sum 'Yb4 Cu16 Ag4'
_cell_length_a 7.015
_cell_length_b 7.015
_cell_length_c 7.015
_cell_angle_alpha 90.00
_cell_angle_beta 90.00
_cell_angle_gamma 90.00
_space_group_name_H-M_alt 'F -4 3 m'
_space_group_IT_number 216
_space_group_name_Hall 'F -4 2 3'
loop_
_atom_site_label
_atom_site_type_symbol
_atom_site_fract_x
_atom_site_fract_y
_atom_site_fract_z
Yb1 Yb 0.000 0.000 0.000
Cu1 Cu 0.124 0.124 0.376
Ag1 Ag 0.250 0.250 0.750
# Uncorrected energy (eV per atom): -17.135

=====

(12)
# Gd2Si2O7 r2SCAN optimized geometry
data_Gd2Si2O7
_chemical_formula_sum 'Gd8 Si8 O28'
_cell_length_a 13.871
_cell_length_b 8.289
_cell_length_c 5.067
_cell_angle_alpha 90.00
_cell_angle_beta 90.00
_cell_angle_gamma 90.00
_space_group_name_H-M_alt 'P n m a'
_space_group_IT_number 62
loop_
_space_group_symop_operation_xyz
'x,y,z'
'-x,-y,-z'
'-x+1/2,-y,z+1/2'
'x+1/2,y,-z+1/2'
'x+1/2,-y+1/2,-z+1/2'
'-x+1/2,y+1/2,z+1/2'
'-x,y+1/2,-z'
'x,-y+1/2,z'
loop_
_atom_site_label
_atom_site_type_symbol
_atom_site_fract_x
_atom_site_fract_y
_atom_site_fract_z
Gd1 Gd 0.125 0.008 0.161
Si1 Si 0.039 0.750 0.623
Si2 Si 0.180 0.250 0.622
O1 O 0.047 0.584 0.789
O2 O 0.080 0.250 0.441
O3 O 0.099 0.750 0.350
O4 O 0.155 0.250 0.932
O5 O 0.232 0.088 0.515
# Uncorrected energy (eV per atom): -16.747